## AlB2H18C4N (PBE)

Data for a relaxed AlB2H18C4N crystal.

a = 9.235 Å, b = 13.862 Å, c = 16.701 Å
α = 90.00°, β = 93.41°, γ = 90.00°
Space group C2/c (No. 15)
Asymmetric unit:
Al: 0.136 0.120 0.295 [8 per cell]
B: 0.202 0.264 0.684 [8 per cell]
B: 0.233 0.005 0.861 [8 per cell]
H: 0.064 0.041 0.073 [8 per cell]
H: 0.068 0.222 0.454 [8 per cell]
H: 0.073 0.277 0.176 [8 per cell]
H: 0.076 0.304 0.036 [8 per cell]
H: 0.083 0.027 0.662 [8 per cell]
H: 0.099 0.181 0.011 [8 per cell]
H: 0.137 0.489 0.142 [8 per cell]
H: 0.140 0.265 0.618 [8 per cell]
H: 0.153 0.474 0.819 [8 per cell]
H: 0.164 0.243 0.327 [8 per cell]
H: 0.169 0.068 0.894 [8 per cell]
H: 0.173 0.408 0.910 [8 per cell]
H: 0.175 0.342 0.717 [8 per cell]
H: 0.177 0.200 0.729 [8 per cell]
H: 0.180 0.006 0.789 [8 per cell]
H: 0.198 0.466 0.411 [8 per cell]
H: 0.206 0.074 0.394 [8 per cell]
H: 0.229 0.224 0.142 [8 per cell]
C: 0.050 0.230 0.054 [8 per cell]
C: 0.111 0.217 0.140 [8 per cell]
C: 0.121 0.039 0.133 [8 per cell]
C: 0.217 0.468 0.877 [8 per cell]
N: 0.071 0.124 0.180 [8 per cell]

---

## Y2Hf2O7 (PBE)

Data for a relaxed Y2Hf2O7 crystal.

a = 6.899 Å, b = 9.615 Å, c = 5.575 Å
α = 90.00°, β = 100.13°, γ = 90.00°
Space group C2/m (No. 12)
Asymmetric unit:
Y: 0.000 0.191 0.000 [4 per cell]
Hf: 0.244 0.000 0.603 [4 per cell]
O: 0.000 0.500 0.500 [2 per cell]
O: 0.059 0.000 0.273 [4 per cell]
O: 0.231 0.329 0.200 [8 per cell]

---

## TaNbV (PBE)

Data for a relaxed TaNbV crystal.

a = 3.242 Å, b = 4.671 Å, c = 13.291 Å
α = 90.00°, β = 90.00°, γ = 90.00°
Space group Fmm2 (No. 42)
Asymmetric unit:
Ta: 0.000 0.000 0.000 [4 per cell]
Nb: 0.000 0.000 0.318 [4 per cell]
V: 0.000 0.000 0.659 [4 per cell]

---

ΔE_f / eV per atom: -0.181, -3.950, 0.046